(1)
# PBE AlH3O3, optimized geometry
data_AlH3O3
_chemical_formula_sum 'Al4 H12 O12'
_cell_length_a 5.1809
_cell_length_b 6.1281
_cell_length_c 7.0993
_cell_angle_alpha 85.05
_cell_angle_beta 85.72
_cell_angle_gamma 81.71
_symmetry_space_group_name_H-M 'P 1'
_symmetry_Int_Tables_number 1
loop_
_symmetry_equiv_pos_as_xyz
'x,y,z'
loop_
_atom_site_label
_atom_site_fract_x
_atom_site_fract_y
_atom_site_fract_z
Al1 0.5188 0.1661 0.8336
Al2 0.4812 0.8339 0.1664
Al3 0.0012 0.3327 0.6682
Al4 0.9988 0.6673 0.3318
H1 0.1644 0.9466 0.7911
H2 0.8356 0.0534 0.2089
H3 0.6320 0.4582 0.3062
H4 0.3680 0.5418 0.6938
H5 0.2770 0.2732 0.3516
H6 0.7230 0.7268 0.6484
H7 0.8198 0.7898 0.9035
H8 0.1802 0.2102 0.0965
H9 0.7334 0.0902 0.5011
H10 0.2666 0.9098 0.4989
H11 0.2272 0.5927 0.9946
H12 0.7728 0.4073 0.0054
O1 0.2397 0.0612 0.7114
O2 0.7603 0.9388 0.2886
O3 0.7150 0.5586 0.2150
O4 0.2850 0.4414 0.7850
O5 0.1477 0.3761 0.4165
O6 0.8523 0.6239 0.5835
O7 0.6408 0.8626 0.9158
O8 0.3592 0.1374 0.0842
O9 0.7276 0.1822 0.6088
O10 0.2724 0.8178 0.3912
O11 0.1969 0.6975 0.0950
O12 0.8031 0.3025 0.9050
# Relative energy among the computed polymorphs ... 0.10 eV/f.u.
# Energy of formation ... -195.81 kJ per mole of atoms

(2)
# PBE AlH3O3, optimized geometry
data_AlH3O3
_chemical_formula_sum 'Al2 H6 O6'
_cell_length_a 5.1730
_cell_length_b 5.1730
_cell_length_c 4.7854
_cell_angle_alpha 89.71
_cell_angle_beta 89.71
_cell_angle_gamma 121.61
_symmetry_space_group_name_H-M 'P 1'
_symmetry_Int_Tables_number 1
loop_
_symmetry_equiv_pos_as_xyz
'x,y,z'
loop_
_atom_site_label
_atom_site_fract_x
_atom_site_fract_y
_atom_site_fract_z
Al1 0.3217 0.6501 0.9968
Al2 0.6501 0.3217 0.9968
H1 0.0186 0.7897 0.2850
H2 0.7897 0.0186 0.2850
H3 0.4136 0.4136 0.4114
H4 0.9924 0.4062 0.5897
H5 0.4062 0.9924 0.5897
H6 0.8057 0.8057 0.7422
O1 0.9903 0.5970 0.2271
O2 0.5970 0.9903 0.2271
O3 0.3540 0.3540 0.2166
O4 0.9862 0.3554 0.7883
O5 0.3554 0.9862 0.7883
O6 0.6144 0.6144 0.7768
# Relative energy among the computed polymorphs ... 0.14 eV/f.u.
# Energy of formation ... -195.30 kJ per mole of atoms

(3)
# PBE AlH3O3, optimized geometry
data_AlH3O3
_chemical_formula_sum 'Al8 H24 O24'
_cell_length_a 5.0055
_cell_length_b 8.8529
_cell_length_c 9.5973
_cell_angle_alpha 87.91
_cell_angle_beta 89.63
_cell_angle_gamma 87.64
_symmetry_space_group_name_H-M 'P 1'
_symmetry_Int_Tables_number 1
loop_
_symmetry_equiv_pos_as_xyz
'x,y,z'
loop_
_atom_site_label
_atom_site_fract_x
_atom_site_fract_y
_atom_site_fract_z
Al1 0.9972 0.3244 0.5024
Al2 0.5016 0.8386 0.0055
Al3 0.9812 0.6684 0.5057
Al4 0.5162 0.1751 0.0106
Al5 0.5093 0.1629 0.4988
Al6 0.0215 0.6657 0.0019
Al7 0.4783 0.8340 0.5024
Al8 0.9847 0.3326 0.0069
H1 0.6921 0.3151 0.2859
H2 0.8910 0.9235 0.8859
H3 0.2910 0.6866 0.7043
H4 0.2005 0.1944 0.2072
H5 0.0100 0.9015 0.3893
H6 0.4298 0.4060 0.8871
H7 0.9287 0.0737 0.6166
H8 0.6407 0.5728 0.1192
H9 0.6183 0.0012 0.2915
H10 0.9020 0.5049 0.7949
H11 0.3735 0.9991 0.7060
H12 0.3481 0.4467 0.1116
H13 0.3580 0.5049 0.3957
H14 0.1371 0.5012 0.2733
H15 0.1861 0.0420 0.8987
H16 0.6647 0.4895 0.6003
H17 0.8465 0.9885 0.1135
H18 0.0901 0.1001 0.3811
H19 0.4750 0.6090 0.8827
H20 0.7908 0.8033 0.7140
H21 0.6857 0.6951 0.2935
H22 0.8148 0.1915 0.7960
H23 0.3151 0.3101 0.7035
H24 0.1869 0.8102 0.2114
O1 0.6895 0.3164 0.3924
O2 0.8218 0.8218 0.8923
O3 0.3001 0.6749 0.6024
O4 0.1858 0.1792 0.1062
O5 0.1563 0.8233 0.3889
O6 0.3150 0.3196 0.8860
O7 0.8227 0.1699 0.6110
O8 0.7056 0.6761 0.1122
O9 0.6427 0.9962 0.3945
O10 0.8644 0.5111 0.8960
O11 0.3494 0.0005 0.6033
O12 0.1592 0.4897 0.1155
O13 0.1616 0.5045 0.3822
O14 0.3752 0.0106 0.8954
O15 0.8608 0.4889 0.6029
O16 0.6509 0.9936 0.1137
O17 0.1944 0.1910 0.3855
O18 0.3353 0.6902 0.8909
O19 0.7897 0.8053 0.6107
O20 0.6694 0.3281 0.1068
O21 0.6685 0.6837 0.3964
O22 0.8376 0.1783 0.8981
O23 0.3213 0.3148 0.5995
O24 0.1872 0.8123 0.1071
# Relative energy among the computed polymorphs ... 0.18 eV/f.u.
# Energy of formation ... -194.78 kJ per mole of atoms

(4)
# PBE AlH3O3, optimized geometry
data_AlH3O3
_chemical_formula_sum 'Al2 H6 O6'
_cell_length_a 4.8598
_cell_length_b 5.0422
_cell_length_c 5.1334
_cell_angle_alpha 61.27
_cell_angle_beta 89.21
_cell_angle_gamma 89.44
_symmetry_space_group_name_H-M 'P 1'
_symmetry_Int_Tables_number 1
loop_
_symmetry_equiv_pos_as_xyz
'x,y,z'
loop_
_atom_site_label
_atom_site_fract_x
_atom_site_fract_y
_atom_site_fract_z
Al1 0.9869 0.3484 0.3322
Al2 0.9878 0.6805 0.6759
H1 0.5871 0.6049 0.4151
H2 0.7232 0.2061 0.0066
H3 0.5893 0.0096 0.5770
H4 0.2830 0.2137 0.7745
H5 0.3950 0.5683 0.0023
H6 0.1791 0.9659 0.2037
O1 0.7841 0.6448 0.3785
O2 0.7670 0.3951 0.0054
O3 0.7778 0.0181 0.6352
O4 0.2128 0.3972 0.6090
O5 0.2065 0.6443 0.9988
O6 0.2033 0.0080 0.3689
# Relative energy among the computed polymorphs ... 0.17 eV/f.u.
# Energy of formation ... -194.96 kJ per mole of atoms